No. 1
Mn6Mo6P7 | PBE-GGA | optimized geometry

a = 9.3846 Å, b = 9.3846 Å, c = 3.3096 Å
α = 90.00°, β = 90.00°, γ = 120.00°
Element x y z (fractional)
Mn (0.7413, 0.9829, 0.0000)
Mn (0.9863, 0.1913, 0.5000)
Mn (0.2050, 0.0137, 0.5000)
Mn (0.2416, 0.2587, 0.0000)
Mn (0.0171, 0.7584, 0.0000)
Mn (0.8087, 0.7950, 0.5000)
Mo (0.1317, 0.5093, 0.0000)
Mo (0.6346, 0.1419, 0.5000)
Mo (0.3776, 0.8683, 0.0000)
Mo (0.4907, 0.6224, 0.0000)
Mo (0.8581, 0.4926, 0.5000)
Mo (0.5074, 0.3654, 0.5000)
P (0.2801, 0.4391, 0.5000)
P (0.4299, 0.1501, 0.0000)
P (0.5609, 0.8410, 0.5000)
P (0.1590, 0.7199, 0.5000)
P (0.0000, 0.0000, 0.0000)
P (0.7202, 0.5701, 0.0000)
P (0.8499, 0.2798, 0.0000)

Properties
Total magnetic moment ... 12.71 μB per formula unit
ΔE_f ... -502 meV/atom

No. 2
Ag2PS3 | PBE-GGA | optimized geometry

a = 6.3380 Å, b = 11.2348 Å, c = 14.3829 Å
α = 90.00°, β = 90.00°, γ = 90.00°
Element x y z (fractional)
P (0.3783, 0.5258, 0.2991)
P (0.6217, 0.0258, 0.2009)
P (0.5717, 0.9993, 0.0422)
P (0.0717, 0.5007, 0.9578)
P (0.4283, 0.4993, 0.4578)
P (0.8783, 0.9742, 0.7009)
P (0.9283, 0.0007, 0.5422)
P (0.1217, 0.4742, 0.7991)
S (0.7066, 0.1202, 0.7449)
S (0.1399, 0.4914, 0.5173)
S (0.8961, 0.3589, 0.0027)
S (0.5848, 0.3369, 0.4694)
S (0.1039, 0.8589, 0.4973)
S (0.4152, 0.8369, 0.0306)
S (0.6399, 0.0086, 0.4827)
S (0.3330, 0.0253, 0.2629)
S (0.7752, 0.1851, 0.2139)
S (0.0848, 0.1631, 0.5306)
S (0.7248, 0.8149, 0.7139)
S (0.7934, 0.8798, 0.2449)
S (0.2934, 0.6202, 0.7551)
S (0.2752, 0.3149, 0.7861)
S (0.6039, 0.6411, 0.5027)
S (0.2066, 0.3798, 0.2551)
S (0.1670, 0.9747, 0.7629)
S (0.8601, 0.9914, 0.9827)
S (0.3601, 0.5086, 0.0173)
S (0.2248, 0.6851, 0.2861)
S (0.8330, 0.4747, 0.7371)
S (0.9152, 0.6631, 0.9694)
S (0.6670, 0.5253, 0.2371)
S (0.3961, 0.1411, 0.9973)
Ag (0.3116, 0.2042, 0.3744)
Ag (0.6884, 0.7042, 0.1256)
Ag (0.9874, 0.1882, 0.8809)
Ag (0.0126, 0.6882, 0.6191)
Ag (0.0909, 0.8738, 0.1281)
Ag (0.0919, 0.1398, 0.1127)
Ag (0.4081, 0.8602, 0.6127)
Ag (0.5909, 0.6262, 0.8719)
Ag (0.9081, 0.6398, 0.3873)
Ag (0.5126, 0.8118, 0.3809)
Ag (0.4091, 0.1262, 0.6281)
Ag (0.8116, 0.2958, 0.6256)
Ag (0.5919, 0.3602, 0.8873)
Ag (0.1884, 0.7958, 0.8744)
Ag (0.9091, 0.3738, 0.3719)
Ag (0.4874, 0.3118, 0.1191)

Properties
Total magnetic moment ... 0.00 μB per formula unit
ΔE_f ... -418 meV/atom

No. 3
K6Sn2Se7 | PBE-GGA | optimized geometry

a = 12.5740 Å, b = 17.3598 Å, c = 20.0700 Å
α = 77.28°, β = 90.00°, γ = 90.00°
Element x y z (fractional)
K (0.2797, 0.0099, 0.3705)
K (0.3852, 0.8762, 0.5541)
K (0.3375, 0.7449, 0.7592)
K (0.9215, 0.6248, 0.1696)
K (0.7690, 0.4544, 0.3047)
K (0.6090, 0.5664, 0.4467)
K (0.0603, 0.3603, 0.5786)
K (0.0278, 0.8637, 0.5326)
K (0.4502, 0.3503, 0.8147)
K (0.8852, 0.1238, 0.9459)
K (0.3265, 0.1931, 0.4770)
K (0.4722, 0.8637, 0.0326)
K (0.1625, 0.7449, 0.2592)
K (0.6148, 0.1238, 0.4459)
K (0.9500, 0.2194, 0.1520)
K (0.5498, 0.6497, 0.1853)
K (0.1148, 0.8762, 0.0541)
K (0.2310, 0.5456, 0.6953)
K (0.5785, 0.6248, 0.6696)
K (0.5603, 0.6397, 0.9214)
K (0.5500, 0.2194, 0.6520)
K (0.6625, 0.2551, 0.2408)
K (0.9397, 0.6397, 0.4214)
K (0.8375, 0.2551, 0.7408)
K (0.1735, 0.1931, 0.9770)
K (0.9972, 0.0302, 0.7332)
K (0.2690, 0.5456, 0.1953)
K (0.6735, 0.8069, 0.5230)
K (0.9722, 0.1363, 0.4674)
K (0.4500, 0.7806, 0.3480)
K (0.0500, 0.7806, 0.8480)
K (0.0028, 0.9698, 0.2668)
K (0.1090, 0.4336, 0.0533)
K (0.8265, 0.8069, 0.0230)
K (0.9502, 0.6497, 0.6853)
K (0.4972, 0.9698, 0.7668)
K (0.5028, 0.0302, 0.2332)
K (0.0785, 0.3752, 0.8304)
K (0.4215, 0.3752, 0.3304)
K (0.4397, 0.3603, 0.0786)
K (0.0498, 0.3503, 0.3147)
K (0.2203, 0.0099, 0.8705)
K (0.7797, 0.9901, 0.1295)
K (0.5278, 0.1363, 0.9674)
K (0.7203, 0.9901, 0.6295)
K (0.3910, 0.4336, 0.5533)
K (0.7310, 0.4544, 0.8047)
K (0.8910, 0.5664, 0.9467)
Se (0.9580, 0.3181, 0.9824)
Se (0.3178, 0.0179, 0.0188)
Se (0.9345, 0.4449, 0.6920)
Se (0.5733, 0.8182, 0.6791)
Se (0.2410, 0.3623, 0.1974)
Se (0.9267, 0.8182, 0.1791)
Se (0.0733, 0.1818, 0.8209)
Se (0.8055, 0.1971, 0.5922)
Se (0.1090, 0.5719, 0.8403)
Se (0.8178, 0.9821, 0.4812)
Se (0.4345, 0.5551, 0.8080)
Se (0.7598, 0.0680, 0.2653)
Se (0.9047, 0.8469, 0.7010)
Se (0.3055, 0.8029, 0.9078)
Se (0.0655, 0.5551, 0.3080)
Se (0.6822, 0.9821, 0.9812)
Se (0.8243, 0.8313, 0.3678)
Se (0.6090, 0.4281, 0.6597)
Se (0.1681, 0.5601, 0.5089)
Se (0.5953, 0.8469, 0.2010)
Se (0.1822, 0.0179, 0.5188)
Se (0.5420, 0.3181, 0.4824)
Se (0.5315, 0.9396, 0.4032)
Se (0.6945, 0.1971, 0.0922)
Se (0.7827, 0.6314, 0.5585)
Se (0.9685, 0.9396, 0.9032)
Se (0.4047, 0.1531, 0.7990)
Se (0.4685, 0.0604, 0.5968)
Se (0.4580, 0.6819, 0.5176)
Se (0.0315, 0.0604, 0.0968)
Se (0.1892, 0.7292, 0.6200)
Se (0.8910, 0.4281, 0.1597)
Se (0.4267, 0.1818, 0.3209)
Se (0.1945, 0.8029, 0.4078)
Se (0.2402, 0.9320, 0.7347)
Se (0.6681, 0.4399, 0.9911)
Se (0.2173, 0.3686, 0.4415)
Se (0.7402, 0.0680, 0.7653)
Se (0.2590, 0.3623, 0.6974)
Se (0.6892, 0.2708, 0.8800)
Se (0.7590, 0.6377, 0.8026)
Se (0.6757, 0.8313, 0.8678)
Se (0.3319, 0.5601, 0.0089)
Se (0.3108, 0.7292, 0.1200)
Se (0.8108, 0.2708, 0.3800)
Se (0.7173, 0.6314, 0.0585)
Se (0.7410, 0.6377, 0.3026)
Se (0.8319, 0.4399, 0.4911)
Se (0.3910, 0.5719, 0.3403)
Se (0.1757, 0.1687, 0.6322)
Se (0.2598, 0.9320, 0.2347)
Se (0.0953, 0.1531, 0.2990)
Se (0.5655, 0.4449, 0.1920)
Se (0.2827, 0.3686, 0.9415)
Se (0.3243, 0.1687, 0.1322)
Se (0.0420, 0.6819, 0.0176)
Sn (0.2843, 0.5172, 0.8933)
Sn (0.2644, 0.2148, 0.2434)
Sn (0.2157, 0.5172, 0.3933)
Sn (0.7573, 0.3019, 0.9911)
Sn (0.2730, 0.0359, 0.6276)
Sn (0.2427, 0.6981, 0.0089)
Sn (0.7730, 0.9641, 0.8724)
Sn (0.7843, 0.4828, 0.6067)
Sn (0.7157, 0.4828, 0.1067)
Sn (0.7270, 0.9641, 0.3724)
Sn (0.2270, 0.0359, 0.1276)
Sn (0.7644, 0.7852, 0.2566)
Sn (0.2573, 0.6981, 0.5089)
Sn (0.7427, 0.3019, 0.4911)
Sn (0.7356, 0.7852, 0.7566)
Sn (0.2356, 0.2148, 0.7434)

Properties
Total magnetic moment ... 0.00 μB per formula unit
ΔE_f ... -1195 meV/atom